Material: RbH5C7SO5
Method: DFT, PBE
State: optimized geometry

Computed properties:
As for the space-group type: Pbca, No. 61. The value obtained for the total DFT energy (no corrections) is -6.4981 eV/atom. As for the formation enthalpy at 0 K: -0.8146 eV/atom.

a = 7.236 Å, b = 10.539 Å, c = 25.933 Å
α = 90.00°, β = 90.00°, γ = 90.00°
Element x y z (fractional)
1 Rb 0.187 0.877 0.473
2 Rb 0.313 0.377 0.527
3 Rb 0.813 0.623 0.973
4 Rb 0.313 0.877 0.973
5 Rb 0.813 0.123 0.527
6 Rb 0.187 0.377 0.027
7 Rb 0.687 0.623 0.473
8 Rb 0.687 0.123 0.027
9 H 0.869 0.758 0.252
10 H 0.988 0.671 0.611
11 H 0.412 0.435 0.768
12 H 0.689 0.764 0.334
13 H 0.379 0.115 0.792
14 H 0.588 0.565 0.232
15 H 0.412 0.935 0.732
16 H 0.088 0.435 0.268
17 H 0.488 0.329 0.889
18 H 0.131 0.742 0.752
19 H 0.369 0.742 0.252
20 H 0.988 0.171 0.889
21 H 0.369 0.242 0.248
22 H 0.088 0.935 0.232
23 H 0.621 0.385 0.292
24 H 0.311 0.736 0.834
25 H 0.488 0.829 0.611
26 H 0.311 0.236 0.666
27 H 0.912 0.065 0.768
28 H 0.879 0.885 0.708
29 H 0.912 0.565 0.732
30 H 0.512 0.171 0.389
31 H 0.879 0.385 0.792
32 H 0.121 0.115 0.292
33 H 0.131 0.242 0.748
34 H 0.631 0.258 0.748
35 H 0.189 0.736 0.334
36 H 0.811 0.264 0.666
37 H 0.588 0.065 0.268
38 H 0.869 0.258 0.248
39 H 0.631 0.758 0.752
40 H 0.012 0.329 0.389
41 H 0.811 0.764 0.834
42 H 0.689 0.264 0.166
43 H 0.189 0.236 0.166
44 H 0.621 0.885 0.208
45 H 0.012 0.829 0.111
46 H 0.379 0.615 0.708
47 H 0.512 0.671 0.111
48 H 0.121 0.615 0.208
49 C 0.113 0.163 0.721
50 C 0.428 0.458 0.348
51 C 0.026 0.353 0.886
52 C 0.508 0.064 0.233
53 C 0.974 0.647 0.114
54 C 0.785 0.340 0.175
55 C 0.285 0.160 0.175
56 C 0.387 0.163 0.221
57 C 0.215 0.160 0.675
58 C 0.473 0.538 0.698
59 C 0.194 0.559 0.860
60 C 0.113 0.663 0.779
61 C 0.572 0.042 0.848
62 C 0.428 0.958 0.152
63 C 0.474 0.853 0.114
64 C 0.974 0.147 0.386
65 C 0.973 0.462 0.802
66 C 0.492 0.436 0.733
67 C 0.474 0.353 0.386
68 C 0.613 0.837 0.779
69 C 0.527 0.962 0.198
70 C 0.508 0.564 0.267
71 C 0.008 0.936 0.267
72 C 0.072 0.958 0.652
73 C 0.715 0.840 0.825
74 C 0.992 0.564 0.767
75 C 0.887 0.837 0.279
76 C 0.008 0.436 0.233
77 C 0.026 0.853 0.614
78 C 0.527 0.462 0.302
79 C 0.027 0.538 0.198
80 C 0.694 0.941 0.860
81 C 0.694 0.441 0.640
82 C 0.526 0.647 0.614
83 C 0.806 0.941 0.360
84 C 0.306 0.059 0.140
85 C 0.072 0.458 0.848
86 C 0.027 0.038 0.302
87 C 0.613 0.337 0.721
88 C 0.215 0.660 0.825
89 C 0.785 0.840 0.325
90 C 0.715 0.340 0.675
91 C 0.928 0.542 0.152
92 C 0.473 0.038 0.802
93 C 0.572 0.542 0.652
94 C 0.194 0.059 0.640
95 C 0.973 0.962 0.698
96 C 0.492 0.936 0.767
97 C 0.387 0.663 0.279
98 C 0.992 0.064 0.733
99 C 0.306 0.559 0.360
100 C 0.806 0.441 0.140
101 C 0.526 0.147 0.886
102 C 0.887 0.337 0.221
103 C 0.285 0.660 0.325
104 C 0.928 0.042 0.348
105 S 0.166 0.564 0.417
106 S 0.334 0.564 0.917
107 S 0.666 0.436 0.083
108 S 0.334 0.064 0.583
109 S 0.834 0.936 0.917
110 S 0.166 0.064 0.083
111 S 0.666 0.936 0.417
112 S 0.834 0.436 0.583
113 O 0.985 0.347 0.593
114 O 0.538 0.262 0.864
115 O 0.473 0.126 0.930
116 O 0.973 0.874 0.570
117 O 0.527 0.374 0.430
118 O 0.400 0.932 0.574
119 O 0.286 0.105 0.040
120 O 0.485 0.653 0.907
121 O 0.286 0.605 0.460
122 O 0.600 0.068 0.426
123 O 0.515 0.347 0.093
124 O 0.714 0.895 0.960
125 O 0.027 0.626 0.070
126 O 0.515 0.847 0.407
127 O 0.962 0.262 0.364
128 O 0.027 0.126 0.430
129 O 0.462 0.238 0.364
130 O 0.714 0.395 0.540
131 O 0.786 0.895 0.460
132 O 0.015 0.153 0.093
133 O 0.985 0.847 0.907
134 O 0.100 0.932 0.074
135 O 0.214 0.105 0.540
136 O 0.527 0.874 0.070
137 O 0.538 0.762 0.636
138 O 0.038 0.238 0.864
139 O 0.900 0.068 0.926
140 O 0.786 0.395 0.040
141 O 0.038 0.738 0.636
142 O 0.485 0.153 0.593
143 O 0.462 0.738 0.136
144 O 0.015 0.653 0.407
145 O 0.962 0.762 0.136
146 O 0.473 0.626 0.570
147 O 0.900 0.568 0.574
148 O 0.400 0.432 0.926
149 O 0.600 0.568 0.074
150 O 0.214 0.605 0.960
151 O 0.100 0.432 0.426
152 O 0.973 0.374 0.930

Material: RbU2H5C4O15
Method: DFT, PBE
State: optimized geometry

Computed properties:
As for the space-group type: P2_1/m, No. 11. The value obtained for the total DFT energy (no corrections) is -7.3492 eV/atom. As for the formation enthalpy at 0 K: -2.1138 eV/atom.

a = 13.941 Å, b = 5.732 Å, c = 9.570 Å
α = 83.38°, β = 90.00°, γ = 90.00°
Element x y z (fractional)
1 Rb 0.250 0.144 0.402
2 Rb 0.750 0.856 0.598
3 U 0.908 0.285 0.236
4 U 0.092 0.715 0.764
5 U 0.592 0.285 0.236
6 U 0.408 0.715 0.764
7 H 0.806 0.295 0.819
8 H 0.750 0.531 0.119
9 H 0.250 0.469 0.881
10 H 0.306 0.705 0.181
11 H 0.750 0.634 0.886
12 H 0.250 0.119 0.053
13 H 0.250 0.366 0.114
14 H 0.194 0.705 0.181
15 H 0.694 0.295 0.819
16 H 0.750 0.881 0.947
17 C 0.450 0.459 0.481
18 C 0.547 0.015 0.957
19 C 0.953 0.015 0.957
20 C 0.453 0.985 0.043
21 C 0.950 0.541 0.519
22 C 0.550 0.541 0.519
23 C 0.047 0.985 0.043
24 C 0.050 0.459 0.481
25 O 0.557 0.557 0.136
26 O 0.885 0.124 0.010
27 O 0.881 0.483 0.445
28 O 0.628 0.019 0.343
29 O 0.128 0.981 0.657
30 O 0.057 0.443 0.864
31 O 0.119 0.517 0.555
32 O 0.372 0.981 0.657
33 O 0.451 0.070 0.158
34 O 0.549 0.930 0.842
35 O 0.250 0.611 0.809
36 O 0.555 0.660 0.622
37 O 0.115 0.876 0.990
38 O 0.750 0.329 0.757
39 O 0.055 0.340 0.378
40 O 0.750 0.712 0.971
41 O 0.385 0.876 0.990
42 O 0.951 0.930 0.842
43 O 0.945 0.660 0.622
44 O 0.445 0.340 0.378
45 O 0.250 0.288 0.029
46 O 0.443 0.443 0.864
47 O 0.049 0.070 0.158
48 O 0.381 0.517 0.555
49 O 0.250 0.671 0.243
50 O 0.750 0.389 0.191
51 O 0.872 0.019 0.343
52 O 0.619 0.483 0.445
53 O 0.615 0.124 0.010
54 O 0.943 0.557 0.136

Material: ReH3CSO6
Method: DFT, PBE
State: optimized geometry

Computed properties:
As for the space-group type: P-1, No. 2. The value obtained for the total DFT energy (no corrections) is -6.4507 eV/atom. As for the formation enthalpy at 0 K: -1.3212 eV/atom.

a = 6.012 Å, b = 13.136 Å, c = 17.020 Å
α = 103.14°, β = 95.87°, γ = 99.51°
Element x y z (fractional)
1 Re 0.762 0.381 0.955
2 Re 0.238 0.619 0.045
3 Re 0.610 0.109 0.815
4 Re 0.390 0.891 0.185
5 Re 0.851 0.892 0.688
6 Re 0.149 0.108 0.312
7 Re 0.731 0.613 0.561
8 Re 0.269 0.387 0.439
9 H 0.701 0.185 0.042
10 H 0.299 0.815 0.958
11 H 0.760 0.052 0.013
12 H 0.240 0.948 0.987
13 H 0.929 0.148 0.100
14 H 0.071 0.852 0.900
15 H 0.208 0.304 0.713
16 H 0.792 0.696 0.287
17 H 0.015 0.348 0.644
18 H 0.985 0.652 0.356
19 H 0.170 0.441 0.736
20 H 0.830 0.559 0.264
21 H 0.828 0.641 0.777
22 H 0.172 0.359 0.223
23 H 0.651 0.670 0.856
24 H 0.349 0.330 0.144
25 H 0.579 0.546 0.779
26 H 0.421 0.454 0.221
27 H 0.850 0.888 0.485
28 H 0.150 0.112 0.515
29 H 0.663 0.817 0.392
30 H 0.337 0.183 0.608
31 H 0.627 0.947 0.446
32 H 0.373 0.053 0.554
33 C 0.834 0.136 0.039
34 C 0.166 0.864 0.961
35 C 0.088 0.358 0.708
36 C 0.912 0.642 0.292
37 C 0.655 0.631 0.792
38 C 0.345 0.369 0.208
39 C 0.677 0.872 0.452
40 C 0.323 0.128 0.548
41 S 0.032 0.179 0.977
42 S 0.968 0.821 0.023
43 S 0.857 0.326 0.760
44 S 0.143 0.674 0.240
45 S 0.480 0.689 0.732
46 S 0.520 0.311 0.268
47 S 0.482 0.813 0.508
48 S 0.518 0.187 0.492
49 O 0.559 0.441 0.916
50 O 0.441 0.559 0.084
51 O 0.670 0.368 0.045
52 O 0.330 0.632 0.955
53 O 0.375 0.121 0.754
54 O 0.625 0.879 0.246
55 O 0.491 0.027 0.872
56 O 0.509 0.973 0.128
57 O 0.054 0.896 0.768
58 O 0.946 0.104 0.232
59 O 0.009 0.958 0.629
60 O 0.991 0.042 0.371
61 O 0.912 0.617 0.489
62 O 0.088 0.383 0.511
63 O 0.856 0.545 0.622
64 O 0.144 0.455 0.378
65 O 0.000 0.500 0.000
66 O 0.629 0.241 0.892
67 O 0.371 0.759 0.108
68 O 0.718 0.005 0.741
69 O 0.282 0.995 0.259
70 O 0.857 0.753 0.627
71 O 0.143 0.247 0.373
72 O 0.500 0.500 0.500
73 O 0.253 0.159 0.002
74 O 0.747 0.841 0.998
75 O 0.038 0.296 0.985
76 O 0.962 0.704 0.015
77 O 0.940 0.119 0.890
78 O 0.060 0.881 0.110
79 O 0.654 0.355 0.725
80 O 0.346 0.645 0.275
81 O 0.833 0.209 0.755
82 O 0.167 0.791 0.245
83 O 0.938 0.387 0.848
84 O 0.062 0.613 0.152
85 O 0.256 0.679 0.756
86 O 0.744 0.321 0.244
87 O 0.598 0.803 0.745
88 O 0.402 0.197 0.255
89 O 0.473 0.630 0.644
90 O 0.527 0.370 0.356
91 O 0.253 0.817 0.476
92 O 0.747 0.183 0.524
93 O 0.519 0.701 0.499
94 O 0.481 0.299 0.501
95 O 0.547 0.874 0.596
96 O 0.453 0.126 0.404